This record from Materials Project describes Ti13S24 after structural relaxation. The functional is meta-GGA r2SCAN.

a b c (Å): 8.9982 9.0103 10.2719
angles (deg): 67.64 67.58 82.48
Last column: nearest neighbours and their distance in Å.
Space group P-1 (No. 2)
Inequivalent atoms, fractional coordinates:
Ti: 0.0000 0.0000 0.0000 (multiplicity 1)  6 S 2.41-2.46
Ti: 0.0000 0.5000 0.0000 (multiplicity 1)  6 S 2.46
Ti: 0.0048 0.0016 0.6601 (multiplicity 2)  6 S 2.39-2.50
Ti: 0.2463 0.7595 0.1673 (multiplicity 2)  6 S 2.38-2.53
Ti: 0.2498 0.7561 0.4960 (multiplicity 2)  6 S 2.39-2.51
Ti: 0.2533 0.7508 0.8318 (multiplicity 2)  6 S 2.40-2.49
Ti: 0.4900 0.5050 0.3332 (multiplicity 2)  6 S 2.36-2.54
Ti: 0.5000 0.5000 0.0000 (multiplicity 1)  6 S 2.41-2.46
S: 0.0381 0.2011 0.7535 (multiplicity 2)  3 Ti 2.39-2.43
S: 0.0385 0.2044 0.4187 (multiplicity 2)  3 Ti 2.39-2.43
S: 0.0421 0.2085 0.0834 (multiplicity 2)  4 Ti 2.46-2.50
S: 0.2079 0.5418 0.0840 (multiplicity 2)  4 Ti 2.46-2.53
S: 0.2086 0.5417 0.7500 (multiplicity 2)  4 Ti 2.46-2.54
S: 0.2100 0.5494 0.4130 (multiplicity 2)  3 Ti 2.36-2.44
S: 0.2862 0.9573 0.2529 (multiplicity 2)  3 Ti 2.38-2.45
S: 0.2874 0.9550 0.9186 (multiplicity 2)  3 Ti 2.41-2.43
S: 0.2895 0.9548 0.5855 (multiplicity 2)  3 Ti 2.41-2.42
S: 0.4628 0.2967 0.2469 (multiplicity 2)  3 Ti 2.40-2.43
S: 0.4664 0.2967 0.9136 (multiplicity 2)  3 Ti 2.40-2.44
S: 0.4667 0.2983 0.5772 (multiplicity 2)  3 Ti 2.41-2.44

Total moment: 0.00 Bohr magnetons per cell
E: -416.9 eV/cell
Calculated formation energy: -1511 meV/atom
ρ: 3.25 Mg/m³